A geometry-optimized Li2AgF5 structure, computed with PBE.

Cell and atoms, written as POSCAR:
```
Li2AgF5
1.0
6.1225 0.0000 0.0000
0.0000 10.0086 0.0000
-2.6257 0.0000 7.6130
Li Ag F
8 4 20
Direct
0.1028 0.2296 0.0370
0.1028 0.2704 0.5370
0.3843 0.6789 0.9809
0.3843 0.8211 0.4809
0.6157 0.1789 0.5191
0.6157 0.3211 0.0191
0.8972 0.7296 0.4630
0.8972 0.7704 0.9630
0.3380 0.0107 0.7730
0.3380 0.4893 0.2730
0.6620 0.5107 0.7270
0.6620 0.9893 0.2270
0.1182 0.1213 0.8468
0.1182 0.3787 0.3468
0.1264 0.6505 0.0384
0.1264 0.8495 0.5384
0.3196 0.6276 0.4448
0.3196 0.8724 0.9448
0.3756 0.1611 0.6222
0.3756 0.3389 0.1222
0.4223 0.0866 0.2932
0.4223 0.4134 0.7932
0.5777 0.5866 0.2068
0.5777 0.9134 0.7068
0.6244 0.6611 0.8778
0.6244 0.8389 0.3778
0.6804 0.1276 0.0552
0.6804 0.3724 0.5552
0.8736 0.1505 0.4616
0.8736 0.3495 0.9616
0.8818 0.6213 0.6532
0.8818 0.8787 0.1532
```

Calculated formation energy   -2.194 eV per atom
Polymorph energy (0 for the lowest one)   0.048 eV/atom
Total energy after the MP2020 corrections   -4.22 eV per atom
Spin magnetization   0.000 μB/atom
Uncorrected energy   -125.9 eV/cell


A geometry-optimized Cr2CuS4 structure, computed with PBE.

Cell and atoms, written as POSCAR:
```
Cr2CuS4
1.0
10.7579 0.0000 0.0000
0.0000 3.4268 0.0000
0.0000 0.0000 12.2376
Cr Cu S
8 4 16
Direct
0.0468 0.2500 0.1241
0.1025 0.2500 0.5869
0.3975 0.7500 0.0869
0.4532 0.7500 0.6241
0.5468 0.2500 0.3759
0.6025 0.2500 0.9131
0.8975 0.7500 0.4131
0.9532 0.7500 0.8759
0.2352 0.7500 0.8390
0.2648 0.2500 0.3389
0.7352 0.7500 0.6610
0.7648 0.2500 0.1610
0.0713 0.7500 0.7148
0.0950 0.2500 0.9371
0.1167 0.7500 0.4495
0.1866 0.7500 0.1636
0.3134 0.2500 0.6636
0.3833 0.2500 0.9495
0.4050 0.7500 0.4371
0.4287 0.2500 0.2148
0.5713 0.7500 0.7852
0.5950 0.2500 0.5629
0.6167 0.7500 0.0505
0.6866 0.7500 0.3364
0.8134 0.2500 0.8364
0.8833 0.2500 0.5505
0.9050 0.7500 0.0629
0.9287 0.2500 0.2852
```

Calculated formation energy   -0.712 eV per atom
Polymorph energy (0 for the lowest one)   0.209 eV/atom
Total energy after the MP2020 corrections   -6.42 eV per atom
Spin magnetization   0.723 μB/atom
Uncorrected energy   -171.7 eV/cell


A geometry-optimized K5In3P6Se19 structure, computed with PBE.

Cell and atoms, written as POSCAR:
```
K5In3P6Se19
1.0
7.8984 0.0000 0.0000
1.9339 13.4028 0.0000
0.5181 1.0105 18.8146
K In P Se
10 6 12 38
Direct
0.0501 0.3450 0.0583
0.2377 0.3850 0.5897
0.2496 0.7159 0.2952
0.2677 0.0933 0.4245
0.4274 0.8530 0.1087
0.5726 0.1470 0.8913
0.7323 0.9067 0.5755
0.7504 0.2841 0.7048
0.7623 0.6150 0.4103
0.9499 0.6550 0.9417
0.1826 0.9352 0.8220
0.2442 0.7640 0.6586
0.4941 0.4014 0.1705
0.5059 0.5986 0.8295
0.7558 0.2360 0.3414
0.8174 0.0648 0.1780
0.0881 0.0608 0.9936
0.1237 0.0698 0.6420
0.1384 0.4006 0.3037
0.3601 0.4409 0.3682
0.3746 0.1075 0.6868
0.4971 0.5651 0.0357
0.5029 0.4349 0.9643
0.6254 0.8925 0.3132
0.6399 0.5591 0.6318
0.8616 0.5994 0.6963
0.8763 0.9302 0.3580
0.9119 0.9392 0.0064
0.0005 0.3287 0.3952
0.9995 0.6713 0.6048
0.0005 0.4662 0.7457
0.0101 0.1922 0.5726
0.0215 0.8098 0.0692
0.0498 0.9651 0.2655
0.1568 0.0869 0.1035
0.1790 0.9340 0.5761
0.2133 0.7398 0.7955
0.2607 0.2877 0.2292
0.2620 0.5485 0.4440
0.2671 0.5605 0.1073
0.2773 0.4658 0.8951
0.3066 0.2301 0.7562
0.3225 0.9746 0.9422
0.4590 0.4996 0.7101
0.4678 0.8593 0.4052
0.4758 0.9613 0.7422
0.4844 0.2962 0.4219
0.4919 0.6973 0.9614
0.5081 0.3027 0.0386
0.5156 0.7038 0.5781
0.5242 0.0387 0.2578
0.5322 0.1407 0.5948
0.5410 0.5004 0.2899
0.6775 0.0254 0.0578
0.6934 0.7699 0.2438
0.7227 0.5342 0.1049
0.7329 0.4395 0.8927
0.7380 0.4515 0.5560
0.7393 0.7123 0.7708
0.7867 0.2602 0.2045
0.8210 0.0660 0.4239
0.8432 0.9131 0.8965
0.9502 0.0349 0.7345
0.9785 0.1902 0.9308
0.9899 0.8078 0.4274
0.9995 0.5338 0.2543
```

Calculated formation energy   -0.800 eV per atom
Total energy after the MP2020 corrections   -4.22 eV per atom
Spin magnetization   0.000 μB/atom
Uncorrected energy   -260.3 eV/cell


A geometry-optimized CeHfMg14 structure, computed with PBE.

Cell and atoms, written as POSCAR:
```
CeHfMg14
1.0
6.4826 0.0000 0.0000
-3.2413 5.6141 0.0000
0.0000 0.0000 10.2236
Ce Hf Mg
1 1 14
Direct
0.0000 0.0000 0.0000
0.0000 0.0000 0.5000
0.0010 0.5005 0.5000
0.0097 0.5049 0.0000
0.1674 0.3347 0.2571
0.1674 0.3347 0.7429
0.1674 0.8326 0.2571
0.1674 0.8326 0.7429
0.4951 0.5049 0.0000
0.4951 0.9903 0.0000
0.4995 0.5005 0.5000
0.4995 0.9990 0.5000
0.6653 0.8326 0.2571
0.6653 0.8326 0.7429
0.6667 0.3333 0.2442
0.6667 0.3333 0.7558
```

Calculated formation energy   0.102 eV per atom
Polymorph energy (0 for the lowest one)   0.038 eV/atom
Spin magnetization   0.097 μB/atom
Uncorrected energy   -36.7 eV/cell


A geometry-optimized Gd2Fe7B7 structure, computed with PBE.

Cell and atoms, written as POSCAR:
```
Gd2Fe7B7
1.0
6.9885 0.0000 0.0000
0.0000 7.0057 0.0000
0.0000 0.0000 27.0372
Gd Fe B
16 56 56
Direct
0.2500 0.2500 0.0313
0.2500 0.2500 0.1564
0.2500 0.2500 0.2813
0.2500 0.2500 0.4061
0.2500 0.2500 0.5313
0.2500 0.2500 0.6564
0.2500 0.2500 0.7813
0.2500 0.2500 0.9061
0.7500 0.7500 0.0939
0.7500 0.7500 0.2187
0.7500 0.7500 0.3436
0.7500 0.7500 0.4687
0.7500 0.7500 0.5939
0.7500 0.7500 0.7187
0.7500 0.7500 0.8436
0.7500 0.7500 0.9687
0.1170 0.6360 0.1621
0.1170 0.8640 0.6622
0.1189 0.6357 0.0205
0.1189 0.8643 0.5205
0.1238 0.6313 0.3050
0.1238 0.8687 0.8050
0.1269 0.6288 0.8772
0.1269 0.8712 0.3772
0.1332 0.6227 0.4492
0.1332 0.8773 0.9492
0.1344 0.6190 0.7333
0.1344 0.8810 0.2333
0.1365 0.6171 0.5914
0.1365 0.8829 0.0914
0.3635 0.6171 0.0914
0.3635 0.8829 0.5914
0.3656 0.6190 0.2333
0.3656 0.8810 0.7333
0.3668 0.6227 0.9492
0.3668 0.8773 0.4492
0.3731 0.6288 0.3772
0.3731 0.8712 0.8772
0.3762 0.6313 0.8050
0.3762 0.8687 0.3050
0.3811 0.6357 0.5205
0.3811 0.8643 0.0205
0.3830 0.6360 0.6622
0.3830 0.8640 0.1621
0.6170 0.1360 0.8378
0.6170 0.3640 0.3378
0.6189 0.1357 0.9795
0.6189 0.3643 0.4795
0.6238 0.1313 0.6950
0.6238 0.3687 0.1950
0.6269 0.1288 0.1228
0.6269 0.3712 0.6228
0.6332 0.1227 0.5508
0.6332 0.3773 0.0508
0.6344 0.1190 0.2667
0.6344 0.3810 0.7667
0.6365 0.1171 0.4086
0.6365 0.3829 0.9086
0.8635 0.1171 0.9086
0.8635 0.3829 0.4086
0.8656 0.1190 0.7667
0.8656 0.3810 0.2667
0.8668 0.1227 0.0508
0.8668 0.3773 0.5508
0.8731 0.1288 0.6228
0.8731 0.3712 0.1228
0.8762 0.1313 0.1950
0.8762 0.3687 0.6950
0.8811 0.1357 0.4795
0.8811 0.3643 0.9795
0.8830 0.1360 0.3378
0.8830 0.3640 0.8378
0.0510 0.5832 0.5204
0.0510 0.9168 0.0204
0.0521 0.5806 0.6623
0.0521 0.9194 0.1623
0.0662 0.5779 0.3774
0.0662 0.9221 0.8774
0.0700 0.5731 0.8055
0.0700 0.9269 0.3055
0.0778 0.5603 0.2336
0.0778 0.9397 0.7336
0.0820 0.5580 0.9492
0.0820 0.9420 0.4492
0.0828 0.5492 0.0916
0.0828 0.9508 0.5916
0.4172 0.5492 0.5916
0.4172 0.9508 0.0916
0.4180 0.5580 0.4492
0.4180 0.9420 0.9492
0.4222 0.5603 0.7336
0.4222 0.9397 0.2336
0.4300 0.5731 0.3055
0.4300 0.9269 0.8055
0.4338 0.5779 0.8774
0.4338 0.9221 0.3774
0.4479 0.5806 0.1623
0.4479 0.9194 0.6623
0.4490 0.5832 0.0204
0.4490 0.9168 0.5204
0.5510 0.0832 0.4796
0.5510 0.4168 0.9796
0.5521 0.0806 0.3377
0.5521 0.4194 0.8377
0.5662 0.0779 0.6226
0.5662 0.4221 0.1226
0.5700 0.0731 0.1945
0.5700 0.4269 0.6945
0.5778 0.0603 0.7664
0.5778 0.4397 0.2664
0.5820 0.0580 0.0508
0.5820 0.4420 0.5508
0.5828 0.0492 0.9084
0.5828 0.4508 0.4084
0.9172 0.0492 0.4084
0.9172 0.4508 0.9084
0.9180 0.0580 0.5508
0.9180 0.4420 0.0508
0.9222 0.0603 0.2664
0.9222 0.4397 0.7664
0.9300 0.0731 0.6945
0.9300 0.4269 0.1945
0.9338 0.0779 0.1226
0.9338 0.4221 0.6226
0.9479 0.0806 0.8377
0.9479 0.4194 0.3377
0.9490 0.0832 0.9796
0.9490 0.4168 0.4796
```

Calculated formation energy   -0.478 eV per atom
Spin magnetization   0.419 μB/atom
Uncorrected energy   -1134.8 eV/cell


A geometry-optimized YHoCo4 structure, computed with PBE.

Cell and atoms, written as POSCAR:
```
YHoCo4
1.0
0.0000 3.5502 3.5502
3.5502 0.0000 3.5502
3.5502 3.5502 0.0000
Y Ho Co
1 1 4
Direct
0.0000 0.0000 0.0000
0.7500 0.7500 0.7500
0.3751 0.3751 0.3751
0.3751 0.3751 0.8748
0.3751 0.8748 0.3751
0.8748 0.3751 0.3751
```

Calculated formation energy   -0.175 eV per atom
Uncorrected energy   -40.5 eV/cell


A geometry-optimized SrMg6C structure, computed with PBE.

Cell and atoms, written as POSCAR:
```
SrMg6C
1.0
-3.2626 1.2388 0.7235
-1.4652 -0.3360 -6.0322
-5.5600 -15.9507 2.2390
Sr Mg C
2 12 2
Direct
0.0000 0.5000 0.2842
0.0000 0.0000 0.7842
0.0000 0.2822 0.0921
0.0000 0.7178 0.0921
0.0000 0.0000 0.3456
0.5000 0.7521 0.4578
0.5000 0.2479 0.4578
0.5000 0.0000 0.2055
0.0000 0.7822 0.5921
0.0000 0.2178 0.5921
0.0000 0.5000 0.8456
0.5000 0.2521 0.9578
0.5000 0.7479 0.9578
0.5000 0.5000 0.7055
0.5000 0.5000 0.0649
0.5000 0.0000 0.5649
```

Calculated formation energy   0.316 eV per atom
Polymorph energy (0 for the lowest one)   0.000 eV/atom
Spin magnetization   0.000 μB/atom
Uncorrected energy   -36.0 eV/cell


A geometry-optimized LaMg6Cu structure, computed with PBE.

Cell and atoms, written as POSCAR:
```
LaMg6Cu
1.0
-1.4058 -3.3415 -3.2672
2.6996 -4.5058 3.4466
-10.6352 -1.6111 6.2239
La Mg Cu
2 12 2
Direct
0.5000 0.0000 0.7013
0.5000 0.5000 0.2013
0.0000 0.2496 0.5590
0.0000 0.7504 0.5590
0.0000 0.5000 0.8074
0.5000 0.7497 0.9274
0.5000 0.2503 0.9274
0.5000 0.5000 0.6505
0.0000 0.7496 0.0590
0.0000 0.2504 0.0590
0.0000 0.0000 0.3074
0.5000 0.2497 0.4274
0.5000 0.7503 0.4274
0.5000 0.0000 0.1505
0.0000 0.0000 0.8680
0.0000 0.5000 0.3680
```

Calculated formation energy   0.026 eV per atom
Polymorph energy (0 for the lowest one)   0.013 eV/atom
Spin magnetization   0.000 μB/atom
Uncorrected energy   -36.9 eV/cell


A geometry-optimized MgBi2P2O9 structure, computed with PBE.

Cell and atoms, written as POSCAR:
```
MgBi2P2O9
1.0
16.0959 0.0000 0.0000
0.0000 7.1796 0.0000
0.0000 0.0000 6.5972
Mg Bi P O
4 8 8 36
Direct
0.2367 0.2500 0.0617
0.2633 0.7500 0.5617
0.7367 0.2500 0.4383
0.7633 0.7500 0.9383
0.0000 0.0000 0.0000
0.0000 0.5000 0.0000
0.1164 0.2500 0.5885
0.3836 0.7500 0.0885
0.5000 0.0000 0.5000
0.5000 0.5000 0.5000
0.6164 0.2500 0.9115
0.8836 0.7500 0.4115
0.0851 0.7500 0.5636
0.1964 0.7500 0.0601
0.3036 0.2500 0.5601
0.4149 0.2500 0.0636
0.5851 0.7500 0.9364
0.6964 0.7500 0.4399
0.8036 0.2500 0.9399
0.9149 0.2500 0.4364
0.0203 0.7500 0.7454
0.0326 0.7500 0.3682
0.0869 0.2500 0.9109
0.1440 0.5799 0.5777
0.1440 0.9201 0.5777
0.1456 0.5682 0.0675
0.1456 0.9318 0.0675
0.2419 0.2500 0.7488
0.2431 0.2500 0.3731
0.2569 0.7500 0.8731
0.2581 0.7500 0.2488
0.3544 0.0682 0.5675
0.3544 0.4318 0.5675
0.3560 0.0799 0.0777
0.3560 0.4201 0.0777
0.4131 0.7500 0.4109
0.4674 0.2500 0.8682
0.4797 0.2500 0.2454
0.5203 0.7500 0.7546
0.5326 0.7500 0.1318
0.5869 0.2500 0.5891
0.6440 0.5799 0.9223
0.6440 0.9201 0.9223
0.6456 0.5682 0.4325
0.6456 0.9318 0.4325
0.7419 0.2500 0.7512
0.7431 0.2500 0.1269
0.7569 0.7500 0.6269
0.7581 0.7500 0.2512
0.8544 0.0682 0.9325
0.8544 0.4318 0.9325
0.8560 0.0799 0.4223
0.8560 0.4201 0.4223
0.9131 0.7500 0.0891
0.9674 0.2500 0.6318
0.9797 0.2500 0.2546
```

Calculated formation energy   -2.414 eV per atom
Total energy after the MP2020 corrections   -7.04 eV per atom
Spin magnetization   0.000 μB/atom
Uncorrected energy   -369.4 eV/cell


A geometry-optimized LiZn2Pt structure, computed with PBE.

Cell and atoms, written as POSCAR:
```
LiZn2Pt
1.0
0.0000 3.0576 3.0576
3.0576 0.0000 3.0576
3.0576 3.0576 0.0000
Li Zn Pt
1 2 1
Direct
0.0000 0.0000 0.0000
0.2500 0.2500 0.2500
0.7500 0.7500 0.7500
0.5000 0.5000 0.5000
```

Calculated formation energy   -0.562 eV per atom
Uncorrected energy   -12.7 eV/cell